Compound: Na4MgCo2O6
Source: the Materials Project
Functional: GGA+U
Structure: optimized geometry

The structure in POSCAR format:
```
Na4MgCo2O6
1.0
-2.431 -2.061 -4.333
-1.251 -5.230 0.001
-5.148 -0.221 4.744
O Na Co Mg
6 4 2 1
direct
0.138 0.528 0.222
0.120 0.880 0.558
0.002 0.420 0.845
0.472 0.862 0.222
0.687 0.313 0.101
0.580 0.998 0.846
0.553 0.447 0.735
0.682 0.903 0.542
0.111 0.889 0.879
0.098 0.318 0.543
0.355 0.256 0.053
0.743 0.645 0.054
0.097 0.903 0.280
```

The value obtained for the formation energy is -1.58 eV per atom.